# CaLa3Co2O8, optimized geometry, DFT GGA+U
# energy above the lowest structure with this stoichiometry: 0.09 eV per formula unit
# ρ: 6.273 g/cm³
# magnetization: 10.00 Bohr magnetons per cell
data_CaLa3Co2O8
_space_group_name_H-M_alt 'P 1 m 1'
_space_group_IT_number 6
_cell_length_a 5.382
_cell_length_b 5.378
_cell_length_c 12.851
_cell_angle_alpha 90.00
_cell_angle_beta 90.01
_cell_angle_gamma 90.00
loop_
_space_group_symop_operation_xyz
'x,y,z'
'x,-y,z'
loop_
_atom_site_label
_atom_site_type_symbol
_atom_site_fract_x
_atom_site_fract_y
_atom_site_fract_z
_atom_site_occupancy
Ca1 Ca 0.000 0.000 0.000 1
Ca2 Ca 0.499 0.000 0.499 1
La1 La 0.000 0.000 0.283 1
La2 La 0.001 0.500 0.503 1
La3 La 0.002 0.500 0.786 1
La4 La 0.500 0.000 0.784 1
La5 La 0.500 0.500 0.002 1
La6 La 0.502 0.500 0.285 1
Co1 Co 0.003 0.000 0.640 1
Co2 Co 0.003 0.500 0.137 1
Co3 Co 0.503 0.000 0.137 1
Co4 Co 0.503 0.500 0.633 1
O1 O 0.006 0.500 0.324 1
O2 O 0.008 0.000 0.463 1
O3 O 0.008 0.500 0.965 1
O4 O 0.009 0.000 0.821 1
O5 O 0.245 0.245 0.645 1
O6 O 0.248 0.256 0.145 1
O7 O 0.506 0.500 0.821 1
O8 O 0.507 0.000 0.966 1
O9 O 0.508 0.000 0.317 1
O10 O 0.508 0.500 0.466 1
O11 O 0.756 0.256 0.144 1
O12 O 0.759 0.243 0.645 1

=====

# CaLa2Co2Sb2Pb2O12, optimized geometry, DFT GGA+U
# energy above the lowest structure with this stoichiometry: 0.50 eV per formula unit
# ρ: 6.461 g/cm³
# magnetization: 6.00 Bohr magnetons per cell
data_CaLa2Co2Sb2Pb2O12
_space_group_name_H-M_alt 'P 1'
_space_group_IT_number 1
_cell_length_a 6.155
_cell_length_b 6.186
_cell_length_c 9.074
_cell_angle_alpha 79.94
_cell_angle_beta 80.72
_cell_angle_gamma 78.48
loop_
_space_group_symop_operation_xyz
'x,y,z'
loop_
_atom_site_label
_atom_site_type_symbol
_atom_site_fract_x
_atom_site_fract_y
_atom_site_fract_z
_atom_site_occupancy
Ca1 Ca 0.000 0.000 0.000 1
La1 La 0.205 0.076 0.584 1
La2 La 0.626 0.659 0.194 1
Co1 Co 0.133 0.608 0.369 1
Co2 Co 0.642 0.051 0.785 1
Sb1 Sb 0.105 0.559 0.799 1
Sb2 Sb 0.700 0.119 0.370 1
Pb1 Pb 0.353 0.253 0.113 1
Pb2 Pb 0.662 0.518 0.609 1
O1 O 0.100 0.678 0.579 1
O2 O 0.245 0.819 0.812 1
O3 O 0.267 0.610 0.158 1
O4 O 0.378 0.318 0.771 1
O5 O 0.435 0.988 0.328 1
O6 O 0.460 0.386 0.422 1
O7 O 0.627 0.977 0.583 1
O8 O 0.695 0.874 0.975 1
O9 O 0.717 0.269 0.146 1
O10 O 0.895 0.225 0.755 1
O11 O 0.895 0.856 0.290 1
O12 O 0.929 0.292 0.407 1

=====

# CaLa2Co2Sb2Pb2O12, optimized geometry, DFT GGA+U
# energy above the lowest structure with this stoichiometry: 2.45 eV per formula unit
# ρ: 6.973 g/cm³
# magnetization: 4.00 Bohr magnetons per cell
data_CaLa2Co2Sb2Pb2O12
_space_group_name_H-M_alt 'P 1'
_space_group_IT_number 1
_cell_length_a 6.075
_cell_length_b 6.208
_cell_length_c 8.129
_cell_angle_alpha 87.88
_cell_angle_beta 88.96
_cell_angle_gamma 88.11
loop_
_space_group_symop_operation_xyz
'x,y,z'
loop_
_atom_site_label
_atom_site_type_symbol
_atom_site_fract_x
_atom_site_fract_y
_atom_site_fract_z
_atom_site_occupancy
Ca1 Ca 0.000 0.000 0.000 1
La1 La 0.030 0.286 0.636 1
La2 La 0.530 0.756 0.232 1
Co1 Co 0.070 0.615 0.847 1
Co2 Co 0.574 0.280 0.431 1
Sb1 Sb 0.029 0.805 0.443 1
Sb2 Sb 0.546 0.303 0.928 1
Pb1 Pb 0.103 0.385 0.223 1
Pb2 Pb 0.527 0.874 0.706 1
O1 O 0.124 0.771 0.200 1
O2 O 0.245 0.044 0.452 1
O3 O 0.263 0.561 0.471 1
O4 O 0.272 0.153 0.856 1
O5 O 0.382 0.589 0.902 1
O6 O 0.501 0.370 0.175 1
O7 O 0.635 0.988 0.996 1
O8 O 0.645 0.253 0.689 1
O9 O 0.775 0.997 0.373 1
O10 O 0.822 0.554 0.415 1
O11 O 0.870 0.383 0.941 1
O12 O 0.967 0.840 0.691 1

=====

# CaLa2Co2Sb2Pb2O12, optimized geometry, DFT GGA+U
# energy above the lowest structure with this stoichiometry: 0.89 eV per formula unit
# ρ: 6.356 g/cm³
# magnetization: 6.00 Bohr magnetons per cell
data_CaLa2Co2Sb2Pb2O12
_space_group_name_H-M_alt 'P 1'
_space_group_IT_number 1
_cell_length_a 5.977
_cell_length_b 6.333
_cell_length_c 8.921
_cell_angle_alpha 86.51
_cell_angle_beta 86.95
_cell_angle_gamma 86.13
loop_
_space_group_symop_operation_xyz
'x,y,z'
loop_
_atom_site_label
_atom_site_type_symbol
_atom_site_fract_x
_atom_site_fract_y
_atom_site_fract_z
_atom_site_occupancy
Ca1 Ca 0.000 0.000 0.000 1
La1 La 0.229 0.366 0.199 1
La2 La 0.715 0.652 0.618 1
Co1 Co 0.184 0.825 0.391 1
Co2 Co 0.565 0.178 0.821 1
Sb1 Sb 0.213 0.660 0.807 1
Sb2 Sb 0.713 0.216 0.387 1
Pb1 Pb 0.162 0.180 0.619 1
Pb2 Pb 0.540 0.835 0.126 1
O1 O 0.001 0.447 0.772 1
O2 O 0.180 0.743 0.180 1
O3 O 0.309 0.728 0.592 1
O4 O 0.348 0.124 0.997 1
O5 O 0.435 0.053 0.335 1
O6 O 0.493 0.494 0.847 1
O7 O 0.537 0.481 0.319 1
O8 O 0.579 0.267 0.595 1
O9 O 0.767 0.928 0.810 1
O10 O 0.873 0.192 0.186 1
O11 O 0.882 0.941 0.461 1
O12 O 0.976 0.392 0.438 1

=====

# CaLa2Co2Sb2Pb2O12, optimized geometry, DFT GGA+U
# energy above the lowest structure with this stoichiometry: 0.63 eV per formula unit
# ρ: 6.405 g/cm³
# magnetization: 6.00 Bohr magnetons per cell
data_CaLa2Co2Sb2Pb2O12
_space_group_name_H-M_alt 'P 1'
_space_group_IT_number 1
_cell_length_a 6.273
_cell_length_b 6.618
_cell_length_c 8.940
_cell_angle_alpha 75.87
_cell_angle_beta 75.35
_cell_angle_gamma 70.51
loop_
_space_group_symop_operation_xyz
'x,y,z'
loop_
_atom_site_label
_atom_site_type_symbol
_atom_site_fract_x
_atom_site_fract_y
_atom_site_fract_z
_atom_site_occupancy
Ca1 Ca 0.000 0.000 0.000 1
La1 La 0.417 0.395 0.359 1
La2 La 0.813 0.708 0.820 1
Co1 Co 0.357 0.806 0.599 1
Co2 Co 0.954 0.435 0.230 1
Sb1 Sb 0.458 0.912 0.153 1
Sb2 Sb 0.919 0.307 0.632 1
Pb1 Pb 0.364 0.385 0.890 1
Pb2 Pb 0.933 0.894 0.385 1
O1 O 0.018 0.316 0.836 1
O2 O 0.072 0.545 0.550 1
O3 O 0.114 0.135 0.187 1
O4 O 0.134 0.645 0.202 1
O5 O 0.169 0.746 0.815 1
O6 O 0.229 0.119 0.543 1
O7 O 0.392 0.764 0.376 1
O8 O 0.616 0.559 0.694 1
O9 O 0.639 0.085 0.192 1
O10 O 0.720 0.608 0.104 1
O11 O 0.758 0.094 0.768 1
O12 O 0.786 0.328 0.443 1